! AuSeCl7 | the Materials Project database | r²SCAN | optimized geometry; values from VASP
! SG ... P2_1/c (14)
! VASP energy ... -12.353 eV per atom
&SYSTEM
  ibrav = 0, nat = 36, ntyp = 3
/
ATOMIC_SPECIES
Cl 35.45 Cl.upf
Au 196.97 Au.upf
Se 78.96 Se.upf
ATOMIC_POSITIONS crystal
Cl 0.7470 0.0646 0.0545
Cl 0.2957 0.4667 0.0374
Cl 0.0594 0.2867 0.3739
Cl 0.5392 0.8406 0.3847
Cl 0.7901 0.2825 0.7890
Cl 0.7530 0.0646 0.5545
Cl 0.2043 0.4667 0.5374
Cl 0.2099 0.7175 0.2110
Cl 0.4017 0.0998 0.1505
Cl 0.9181 0.6254 0.1550
Cl 0.4181 0.3746 0.3450
Cl 0.5819 0.6254 0.6550
Cl 0.9017 0.9002 0.3495
Cl 0.4406 0.2867 0.8739
Cl 0.5983 0.9002 0.8495
Cl 0.7043 0.5333 0.9626
Cl 0.9406 0.7133 0.6261
Cl 0.7957 0.5333 0.4626
Cl 0.9608 0.8406 0.8847
Cl 0.5594 0.7133 0.1261
Cl 0.0819 0.3746 0.8450
Cl 0.0392 0.1594 0.1153
Cl 0.2530 0.9354 0.9455
Cl 0.7099 0.2825 0.2890
Cl 0.0983 0.0998 0.6505
Cl 0.2470 0.9354 0.4455
Cl 0.4608 0.1594 0.6153
Cl 0.2901 0.7175 0.7110
Au 0.4150 0.7814 0.5502
Au 0.0850 0.7814 0.0502
Au 0.5850 0.2186 0.4498
Au 0.9150 0.2186 0.9498
Se 0.2111 0.2355 0.5031
Se 0.7889 0.7645 0.4969
Se 0.2889 0.2355 0.0031
Se 0.7111 0.7645 0.9969
CELL_PARAMETERS angstrom
-8.9955 -1.0803 4.6968
-0.0270 -8.4236 -1.9891
5.5381 -6.2287 9.1742